Record 1
A relaxed structure of MgAl2Ga2Cu4As4O20. Source: the Materials Project database, functional PBE.

Values from the calculation:
SG: P1, No. 1
E_form: -1895 meV/atom
calculated total energy: -6.00 eV per atom
offset from the most stable computed form: 0.0 meV per atom

Structure (CIF):
```
data_MgAl2Ga2Cu4As4O20
_cell_length_a 5.897
_cell_length_b 7.706
_cell_length_c 10.401
_cell_angle_alpha 90.24
_cell_angle_beta 89.82
_cell_angle_gamma 100.58
_space_group_name_H-M_alt 'P 1'
_space_group_IT_number 1
_space_group_name_Hall 'P 1'
loop_
_atom_site_label
_atom_site_type_symbol
_atom_site_fract_x
_atom_site_fract_y
_atom_site_fract_z
Cu1 Cu 0.592 0.549 0.845
O1 O 0.135 0.091 0.799
O2 O 0.023 0.564 0.190
As1 As 0.101 0.271 0.887
O3 O 0.453 0.427 0.689
As2 As 0.922 0.721 0.101
O4 O 0.776 0.777 0.781
O5 O 0.895 0.201 0.010
O6 O 0.172 0.628 0.466
O7 O 0.847 0.392 0.539
Cu2 Cu 0.328 0.482 0.174
O8 O 0.356 0.356 0.966
O9 O 0.644 0.118 0.709
As3 As 0.592 0.282 0.607
Ga1 Ga 0.569 0.873 0.683
Cu3 Cu 0.874 0.517 0.369
O10 O 0.633 0.822 0.512
Al1 Al 0.066 0.857 0.819
O11 O 0.851 0.881 0.200
Mg1 Mg 0.644 0.331 0.066
O12 O 0.418 0.183 0.485
O13 O 0.695 0.220 0.237
O14 O 0.113 0.819 0.987
Al2 Al 0.437 0.128 0.321
O15 O 0.991 0.432 0.812
O16 O 0.374 0.895 0.301
O17 O 0.551 0.575 0.314
O18 O 0.233 0.217 0.230
Ga2 Ga 0.944 0.122 0.184
As4 As 0.432 0.730 0.400
O19 O 0.272 0.772 0.728
Cu4 Cu 0.112 0.539 0.644
O20 O 0.675 0.596 0.033
```

***

Record 2
A relaxed structure of K5Y2Si4O13F. Source: the Materials Project database, functional PBE.

Values from the calculation:
SG: P2_1/m, No. 11
E_form: -3173 meV/atom
calculated total energy: -7.05 eV per atom

Structure (CIF):
```
data_K5Y2Si4O13F
_cell_length_a 5.838
_cell_length_b 7.253
_cell_length_c 18.319
_cell_angle_alpha 87.86
_cell_angle_beta 90.00
_cell_angle_gamma 90.00
_space_group_name_H-M_alt 'P 1'
_space_group_IT_number 1
_space_group_name_Hall 'P 1'
loop_
_atom_site_label
_atom_site_type_symbol
_atom_site_fract_x
_atom_site_fract_y
_atom_site_fract_z
O1 O 0.250 0.936 0.264
O2 O 0.484 0.453 0.094
O3 O 0.015 0.869 0.145
O4 O 0.017 0.624 0.389
F1 F 0.250 0.462 0.757
K1 K 0.750 0.868 0.306
O5 O 0.517 0.376 0.611
O6 O 0.750 0.773 0.994
O7 O 0.515 0.131 0.855
Y1 Y 0.750 0.666 0.110
O8 O 0.017 0.206 0.330
O9 O 0.250 0.227 0.006
O10 O 0.983 0.376 0.611
O11 O 0.517 0.794 0.670
K2 K 0.250 0.795 0.814
K3 K 0.250 0.524 0.250
O12 O 0.485 0.869 0.145
Y2 Y 0.750 0.403 0.371
Si1 Si 0.250 0.959 0.173
Y3 Y 0.250 0.597 0.629
O13 O 0.016 0.453 0.094
Si2 Si 0.750 0.041 0.827
O14 O 0.483 0.206 0.330
O15 O 0.250 0.184 0.156
K4 K 0.750 0.476 0.750
O16 O 0.985 0.131 0.855
O17 O 0.250 0.942 0.406
O18 O 0.983 0.794 0.670
O19 O 0.516 0.547 0.906
O20 O 0.250 0.686 0.513
Si3 Si 0.250 0.083 0.332
Si4 Si 0.250 0.336 0.083
K5 K 0.750 0.741 0.510
O21 O 0.750 0.816 0.844
K6 K 0.750 0.205 0.186
K7 K 0.250 0.803 0.004
F2 F 0.750 0.538 0.243
K8 K 0.750 0.197 0.996
O22 O 0.750 0.314 0.487
O23 O 0.984 0.547 0.906
O24 O 0.750 0.064 0.736
K9 K 0.250 0.132 0.694
O25 O 0.483 0.624 0.389
O26 O 0.750 0.058 0.594
K10 K 0.250 0.259 0.490
Si5 Si 0.250 0.711 0.423
Si6 Si 0.750 0.917 0.668
Si7 Si 0.750 0.664 0.917
Si8 Si 0.750 0.289 0.577
Y4 Y 0.250 0.334 0.890
```

***

Record 3
A relaxed structure of MgCuO2. Source: the Materials Project database, functional PBE.

Values from the calculation:
SG: I4_1/amd, No. 141
E_form: -1918 meV/atom
calculated total energy: -5.47 eV per atom

Structure (CIF):
```
data_MgCuO2
_cell_length_a 5.613
_cell_length_b 5.613
_cell_length_c 5.613
_cell_angle_alpha 137.76
_cell_angle_beta 137.76
_cell_angle_gamma 61.27
_space_group_name_H-M_alt 'P 1'
_space_group_IT_number 1
_space_group_name_Hall 'P 1'
loop_
_atom_site_label
_atom_site_type_symbol
_atom_site_fract_x
_atom_site_fract_y
_atom_site_fract_z
Mg1 Mg 0.500 0.500 0.000
O1 O 0.482 0.982 0.500
Mg2 Mg 0.250 0.750 0.500
Cu1 Cu 0.000 0.000 0.000
O2 O 0.268 0.268 0.000
O3 O 0.018 0.518 0.500
O4 O 0.732 0.732 0.000
Cu2 Cu 0.750 0.250 0.500
```